(1)
LiMg14Mn: optimized geometry, PBE.

Cell: 6.264 6.362 9.950 Å, 90.00 90.00 120.51°
Element x y z (fractional)
Mg: 0.322 0.654 0.895
Mg: 0.173 0.837 0.625
Mg: 0.843 0.172 0.888
Mg: 0.322 0.168 0.895
Mg: 0.170 0.335 0.625
Mg: 0.322 0.168 0.355
Mg: 0.322 0.654 0.355
Mg: 0.843 0.172 0.362
Mg: 0.833 0.666 0.875
Mg: 0.665 0.836 0.625
Mg: 0.675 0.340 0.125
Mg: 0.833 0.666 0.375
Mg: 0.665 0.330 0.625
Mg: 0.675 0.835 0.125
Mn: 0.171 0.336 0.125
Li: 0.166 0.833 0.125

Properties
- Calculated density: 2.0 g cm⁻³
- Polymorph energy (0 for the lowest one): 1.34 eV per formula unit
- Formation energy: 0.133 eV per atom



(2)
LiMg14Mn: optimized geometry, PBE.

Cell: 6.329 6.329 10.084 Å, 90.00 90.00 120.00°
Element x y z (fractional)
Li: 0.167 0.333 0.625
Mg: 0.666 0.834 0.625
Mg: 0.330 0.170 0.878
Mg: 0.840 0.170 0.878
Mg: 0.833 0.667 0.376
Mg: 0.840 0.170 0.372
Mg: 0.330 0.660 0.878
Mg: 0.330 0.170 0.372
Mg: 0.167 0.834 0.125
Mg: 0.666 0.332 0.625
Mg: 0.666 0.333 0.125
Mg: 0.330 0.660 0.372
Mg: 0.168 0.834 0.625
Mg: 0.666 0.834 0.125
Mg: 0.833 0.667 0.874
Mn: 0.167 0.333 0.125

Properties
- Calculated density: 1.9 g cm⁻³
- Polymorph energy (0 for the lowest one): 0.00 eV per formula unit
- Formation energy: 0.049 eV per atom



(3)
LiMg14Mo: optimized geometry, PBE.

Cell: 6.320 6.320 9.905 Å, 90.00 90.00 120.00°
Element x y z (fractional)
Mg: 0.666 0.834 0.625
Mg: 0.328 0.172 0.869
Mg: 0.833 0.667 0.875
Mg: 0.168 0.834 0.125
Mg: 0.666 0.332 0.125
Mg: 0.666 0.332 0.625
Mg: 0.845 0.172 0.869
Mg: 0.168 0.834 0.625
Mg: 0.666 0.834 0.125
Mg: 0.328 0.655 0.381
Mg: 0.845 0.172 0.381
Mg: 0.328 0.655 0.869
Mg: 0.833 0.667 0.375
Mg: 0.328 0.172 0.381
Li: 0.167 0.333 0.125
Mo: 0.167 0.333 0.625

Properties
- Calculated density: 2.1 g cm⁻³
- Polymorph energy (0 for the lowest one): 0.00 eV per formula unit
- Formation energy: 0.101 eV per atom